# 1
First-principles (PBE) data for a relaxed Na15Ta2Zn10P9S9O72 crystal, as listed in the Materials Project.

The total energy is -6.138 eV per atom. For the density, the calculation gives 3.3 g/cm3. The corrected total energy (MP2020 scheme) is -6.561 eV/atom. The symmetry is P1. As for the total magnetization: 0.000 μB/atom. Its formation energy is -2.3012 eV/atom.

Cell lengths 8.914, 8.925, 22.375 Å; angles 89.62, 89.72, 60.11 degrees
Fractional coordinates of all 117 atoms:
Na 0.000 0.000 0.000
Na 0.002 0.007 0.501
Na 0.006 0.641 0.744
Na 0.040 0.311 0.915
Na 0.046 0.674 0.416
Na 0.304 0.668 0.915
Na 0.306 0.041 0.415
Na 0.344 0.340 0.332
Na 0.357 0.338 0.832
Na 0.370 0.009 0.742
Na 0.372 0.641 0.245
Na 0.638 0.010 0.244
Na 0.673 0.666 0.664
Na 0.681 0.674 0.165
Na 0.701 0.330 0.081
Ta 0.666 0.685 0.518
Ta 0.681 0.673 0.018
Zn 0.000 0.007 0.348
Zn 0.011 0.000 0.641
Zn 0.012 0.002 0.140
Zn 0.333 0.340 0.169
Zn 0.338 0.340 0.669
Zn 0.342 0.343 0.985
Zn 0.345 0.342 0.484
Zn 0.670 0.673 0.318
Zn 0.678 0.663 0.817
Zn 0.983 0.014 0.849
P 0.047 0.636 0.579
P 0.052 0.335 0.078
P 0.330 0.054 0.579
P 0.334 0.639 0.079
P 0.381 0.669 0.411
P 0.632 0.049 0.080
P 0.669 0.381 0.912
P 0.670 0.972 0.410
P 0.967 0.675 0.910
S 0.004 0.299 0.746
S 0.006 0.712 0.247
S 0.296 0.011 0.247
S 0.300 0.713 0.747
S 0.383 0.967 0.911
S 0.634 0.340 0.579
S 0.710 0.011 0.745
S 0.714 0.302 0.246
S 0.961 0.383 0.412
O 0.008 0.189 0.084
O 0.014 0.820 0.584
O 0.033 0.194 0.802
O 0.035 0.787 0.302
O 0.115 0.528 0.637
O 0.118 0.378 0.133
O 0.135 0.365 0.418
O 0.144 0.510 0.918
O 0.150 0.312 0.020
O 0.151 0.554 0.522
O 0.164 0.317 0.742
O 0.165 0.540 0.241
O 0.178 0.023 0.585
O 0.182 0.820 0.086
O 0.195 0.790 0.802
O 0.197 0.032 0.303
O 0.204 0.842 0.410
O 0.210 0.977 0.909
O 0.213 0.982 0.195
O 0.218 0.825 0.695
O 0.312 0.560 0.022
O 0.314 0.154 0.522
O 0.316 0.540 0.741
O 0.321 0.163 0.242
O 0.352 0.515 0.419
O 0.359 0.141 0.918
O 0.376 0.117 0.636
O 0.385 0.522 0.135
O 0.473 0.850 0.964
O 0.474 0.701 0.752
O 0.474 0.850 0.250
O 0.483 0.694 0.465
O 0.483 0.890 0.856
O 0.484 0.645 0.354
O 0.503 0.862 0.570
O 0.505 0.145 0.420
O 0.508 0.365 0.920
O 0.508 0.652 0.069
O 0.527 0.379 0.633
O 0.528 0.112 0.139
O 0.532 0.164 0.740
O 0.536 0.320 0.243
O 0.549 0.163 0.026
O 0.558 0.315 0.525
O 0.634 0.499 0.858
O 0.641 0.890 0.355
O 0.651 0.863 0.069
O 0.652 0.503 0.570
O 0.690 0.480 0.251
O 0.691 0.851 0.750
O 0.695 0.479 0.969
O 0.697 0.842 0.466
O 0.786 0.035 0.800
O 0.796 0.191 0.299
O 0.809 0.192 0.586
O 0.813 0.224 0.191
O 0.814 0.026 0.086
O 0.821 0.980 0.693
O 0.841 0.974 0.410
O 0.843 0.209 0.910
O 0.844 0.696 0.965
O 0.846 0.697 0.252
O 0.851 0.472 0.466
O 0.851 0.478 0.750
O 0.858 0.507 0.070
O 0.859 0.650 0.569
O 0.885 0.490 0.359
O 0.886 0.646 0.854
O 0.975 0.826 0.195
O 0.980 0.209 0.409
O 0.982 0.215 0.694
O 0.988 0.836 0.909

# 2
First-principles (PBE) data for a relaxed Na15Ta4Zn8P15S3O72 crystal, as listed in the Materials Project.

The total energy is -6.625 eV per atom. For the density, the calculation gives 3.6 g/cm3. The corrected total energy (MP2020 scheme) is -7.048 eV/atom. The symmetry is P1. As for the total magnetization: 0.000 μB/atom. Its formation energy is -2.5418 eV/atom.

Cell lengths 8.958, 8.960, 22.086 Å; angles 90.05, 90.18, 119.98 degrees
Fractional coordinates of all 117 atoms:
Na 0.000 0.000 0.000
Na 0.000 0.353 0.739
Na 0.305 0.689 0.660
Na 0.308 0.356 0.157
Na 0.326 0.037 0.576
Na 0.340 0.035 0.077
Na 0.380 0.744 0.994
Na 0.382 0.377 0.497
Na 0.618 0.994 0.499
Na 0.619 0.363 0.000
Na 0.659 0.697 0.404
Na 0.660 0.702 0.903
Na 0.682 0.359 0.660
Na 0.972 0.358 0.239
Na 0.999 0.740 0.500
Ta 0.000 0.377 0.389
Ta 0.330 0.035 0.732
Ta 0.333 0.039 0.232
Ta 0.999 0.363 0.889
Zn 0.340 0.045 0.923
Zn 0.343 0.038 0.423
Zn 0.661 0.698 0.576
Zn 0.666 0.705 0.764
Zn 0.672 0.705 0.073
Zn 0.680 0.707 0.265
Zn 0.979 0.346 0.100
Zn 0.997 0.370 0.599
P 0.034 0.028 0.836
P 0.038 0.747 0.336
P 0.292 0.371 0.000
P 0.292 0.664 0.499
P 0.333 0.739 0.835
P 0.335 0.336 0.334
P 0.367 0.403 0.664
P 0.630 0.031 0.334
P 0.631 0.339 0.834
P 0.665 0.999 0.665
P 0.666 0.408 0.165
P 0.702 0.075 0.996
P 0.705 0.368 0.498
P 0.961 0.707 0.664
P 0.962 0.998 0.164
S 0.369 0.708 0.164
S 0.999 0.081 0.496
S 0.999 0.655 0.998
O 0.009 0.190 0.162
O 0.020 0.183 0.551
O 0.022 0.574 0.052
O 0.031 0.206 0.836
O 0.031 0.564 0.336
O 0.114 0.017 0.895
O 0.118 0.840 0.395
O 0.149 0.871 0.675
O 0.150 0.016 0.175
O 0.151 0.831 0.993
O 0.152 0.059 0.492
O 0.159 0.339 0.337
O 0.159 0.559 0.837
O 0.161 0.054 0.782
O 0.162 0.846 0.281
O 0.183 0.383 0.944
O 0.184 0.375 0.657
O 0.184 0.542 0.443
O 0.189 0.354 0.058
O 0.190 0.581 0.557
O 0.193 0.558 0.160
O 0.308 0.208 0.995
O 0.308 0.843 0.493
O 0.309 0.211 0.279
O 0.309 0.838 0.779
O 0.346 0.836 0.893
O 0.351 0.254 0.393
O 0.351 0.868 0.173
O 0.352 0.220 0.676
O 0.457 0.525 0.716
O 0.457 0.685 0.215
O 0.464 0.739 0.106
O 0.469 0.538 0.998
O 0.469 0.673 0.497
O 0.475 0.462 0.604
O 0.481 0.515 0.324
O 0.482 0.710 0.826
O 0.493 0.015 0.674
O 0.496 0.219 0.175
O 0.518 0.049 0.990
O 0.522 0.209 0.492
O 0.525 0.058 0.281
O 0.530 0.211 0.779
O 0.536 0.261 0.893
O 0.539 0.014 0.394
O 0.618 0.469 0.105
O 0.622 0.893 0.605
O 0.657 0.881 0.323
O 0.660 0.516 0.824
O 0.676 0.515 0.219
O 0.685 0.909 0.719
O 0.700 0.902 0.997
O 0.701 0.538 0.495
O 0.780 0.190 0.052
O 0.783 0.343 0.556
O 0.810 0.207 0.335
O 0.811 0.187 0.660
O 0.811 0.343 0.836
O 0.821 0.180 0.940
O 0.821 0.382 0.159
O 0.824 0.376 0.443
O 0.838 0.665 0.998
O 0.838 0.912 0.496
O 0.839 0.674 0.715
O 0.847 0.908 0.217
O 0.855 0.882 0.826
O 0.857 0.713 0.327
O 0.898 0.740 0.602
O 0.898 0.904 0.103
O 0.985 0.549 0.942
O 0.987 0.175 0.441
O 0.998 0.555 0.661

# 3
First-principles (PBE) data for a relaxed Na3Ta2Zn2P5SO24 crystal, as listed in the Materials Project.

The total energy is -7.039 eV per atom. For the density, the calculation gives 3.7 g/cm3. The corrected total energy (MP2020 scheme) is -7.485 eV/atom. The symmetry is P1. As for the total magnetization: 0.000 μB/atom. Its formation energy is -2.6159 eV/atom.

Cell lengths 8.787, 8.819, 22.420 Å; angles 90.05, 90.00, 119.76 degrees
Fractional coordinates of all 111 atoms:
Na 0.000 0.000 0.000
Na 0.006 0.994 0.499
Na 0.033 0.350 0.590
Na 0.312 0.349 0.090
Na 0.335 0.683 0.168
Na 0.343 0.678 0.668
Na 0.652 0.319 0.334
Na 0.671 0.327 0.833
Na 0.698 0.680 0.923
Ta 0.326 0.660 0.824
Ta 0.327 0.665 0.324
Ta 0.659 0.327 0.491
Ta 0.664 0.328 0.991
Ta 0.989 0.001 0.157
Ta 0.990 0.997 0.657
Zn 0.009 0.022 0.363
Zn 0.327 0.672 0.529
Zn 0.328 0.673 0.028
Zn 0.653 0.321 0.195
Zn 0.669 0.342 0.695
Zn 0.993 0.005 0.862
P 0.037 0.374 0.432
P 0.037 0.666 0.930
P 0.292 0.293 0.262
P 0.324 0.955 0.429
P 0.325 0.369 0.932
P 0.369 0.036 0.097
P 0.373 0.333 0.598
P 0.617 0.955 0.929
P 0.655 0.038 0.597
P 0.665 0.623 0.096
P 0.703 0.704 0.765
P 0.704 0.000 0.266
P 0.952 0.625 0.596
P 0.953 0.337 0.098
P 0.992 0.290 0.763
S 0.285 0.996 0.763
S 0.620 0.663 0.429
S 0.995 0.710 0.264
O 0.002 0.189 0.425
O 0.022 0.201 0.704
O 0.023 0.823 0.209
O 0.130 0.640 0.873
O 0.136 0.652 0.588
O 0.137 0.452 0.489
O 0.138 0.497 0.376
O 0.140 0.688 0.985
O 0.141 0.479 0.090
O 0.166 0.702 0.266
O 0.168 0.981 0.421
O 0.169 0.475 0.768
O 0.171 0.201 0.205
O 0.172 0.973 0.708
O 0.177 0.186 0.921
O 0.186 0.036 0.100
O 0.186 0.157 0.602
O 0.204 0.014 0.816
O 0.210 0.184 0.317
O 0.292 0.827 0.765
O 0.293 0.474 0.269
O 0.306 0.447 0.989
O 0.308 0.855 0.485
O 0.333 0.481 0.589
O 0.336 0.853 0.088
O 0.355 0.863 0.373
O 0.356 0.498 0.876
O 0.461 0.143 0.755
O 0.461 0.163 0.041
O 0.464 0.305 0.540
O 0.471 0.118 0.152
O 0.477 0.355 0.653
O 0.478 0.332 0.255
O 0.497 0.864 0.872
O 0.500 0.141 0.434
O 0.506 0.639 0.374
O 0.507 0.371 0.933
O 0.508 0.651 0.088
O 0.511 0.853 0.587
O 0.519 0.824 0.269
O 0.520 0.702 0.768
O 0.538 0.842 0.983
O 0.540 0.684 0.482
O 0.625 0.138 0.935
O 0.625 0.493 0.431
O 0.634 0.122 0.653
O 0.636 0.509 0.149
O 0.669 0.520 0.757
O 0.677 0.154 0.258
O 0.693 0.164 0.541
O 0.693 0.535 0.038
O 0.796 0.808 0.420
O 0.797 0.972 0.208
O 0.801 0.984 0.921
O 0.802 0.783 0.822
O 0.805 0.830 0.710
O 0.807 0.012 0.320
O 0.831 0.532 0.539
O 0.834 0.307 0.041
O 0.837 0.318 0.755
O 0.838 0.037 0.601
O 0.839 0.806 0.102
O 0.850 0.534 0.255
O 0.852 0.490 0.934
O 0.854 0.371 0.434
O 0.870 0.359 0.153
O 0.875 0.512 0.650
O 0.960 0.157 0.102
O 0.960 0.807 0.602
O 0.977 0.185 0.817
O 0.977 0.791 0.317
O 0.998 0.815 0.922